Entry 1:
Below is a relaxed structure of TlPd2, with properties calculated at the GGA-PBE level.

a b c (Å): 4.2671 5.8536 8.6001
angles (deg): 90.00 90.00 90.00
With the nearest neighbours (Å) after each atom.
Positions (direct):
Pd  0.2500  0.8430  0.0720  5 Tl 2.78-3.06, 7 Pd 2.95-3.08
Pd  0.2500  0.4305  0.7658  5 Tl 2.82-2.96, 7 Pd 2.94-3.01
Pd  0.2500  0.9305  0.7342  5 Tl 2.82-2.96, 7 Pd 2.94-3.01
Pd  0.7500  0.1570  0.9280  5 Tl 2.78-3.06, 7 Pd 2.95-3.08
Pd  0.7500  0.6570  0.5720  5 Tl 2.78-3.06, 7 Pd 2.95-3.08
Pd  0.7500  0.5695  0.2342  5 Tl 2.82-2.96, 7 Pd 2.94-3.01
Pd  0.7500  0.0695  0.2658  5 Tl 2.82-2.96, 7 Pd 2.94-3.01
Pd  0.2500  0.3430  0.4280  5 Tl 2.78-3.06, 7 Pd 2.95-3.08
Tl  0.2500  0.8215  0.3979  10 Pd 2.78-3.06
Tl  0.7500  0.1785  0.6021  10 Pd 2.78-3.06
Tl  0.2500  0.3215  0.1021  10 Pd 2.78-3.06
Tl  0.7500  0.6785  0.8979  10 Pd 2.78-3.06

Calculated total energy (eV per cell): -53.4
Symmetry: Pnma
Calculated formation energy (meV per atom): -212

Entry 2:
Below is a relaxed structure of Li3ScCl6, with properties calculated at the GGA-PBE level.

a b c (Å): 7.0152 7.0152 7.0152
angles (deg): 60.00 60.00 60.00
With the nearest neighbours (Å) after each atom.
Positions (direct):
Sc  0.0000  0.0000  0.0000  6 Cl 2.47
Cl  0.7509  0.2491  0.2491  1 Sc 2.47, 1 Li 2.49
Cl  0.7509  0.2491  0.7509  1 Sc 2.47, 1 Li 2.49
Cl  0.2491  0.2491  0.7509  1 Sc 2.47, 1 Li 2.49
Cl  0.7509  0.7509  0.2491  1 Sc 2.47, 1 Li 2.49
Cl  0.2491  0.7509  0.2491  1 Sc 2.47, 1 Li 2.49
Cl  0.2491  0.7509  0.7509  1 Sc 2.47, 1 Li 2.49
Li  0.5000  0.5000  0.5000  6 Cl 2.49
Li  0.2500  0.2500  0.2500  12 Cl 3.51
Li  0.7500  0.7500  0.7500  12 Cl 3.51

Calculated total energy (eV per cell): -40.2
Symmetry: Fm-3m
Corrected total energy (MP2020 scheme) (eV per atom): -4.384
Calculated formation energy (meV per atom): -2069

Entry 3:
Below is a relaxed structure of Mg5Si9, with properties calculated at the GGA-PBE level.

a b c (Å): 6.7411 7.1826 12.6282
angles (deg): 89.38 95.51 116.66
With the nearest neighbours (Å) after each atom.
Positions (direct):
Si  0.8112  0.3256  0.5758  2 Si 2.41-2.47
Si  0.3692  0.0448  0.2937  3 Si 2.39-2.41
Si  0.1293  0.3979  0.2990  3 Si 2.39-2.51
Si  0.7555  0.7958  0.1865  4 Si 2.39-2.47
Si  0.4819  0.6227  0.9170  4 Si 2.36-2.45
Si  0.6976  0.4178  0.7394  3 Si 2.40-2.47
Si  0.4027  0.7442  0.2382  4 Si 2.39-2.51
Si  0.1741  0.9583  0.6630  2 Si 2.39-2.40, 1 Mg 2.64
Si  0.4639  0.6095  0.4093  2 Si 2.39-2.43, 2 Mg 2.64-2.65
Si  0.2680  0.2511  0.1690  4 Si 2.35-2.43
Si  0.5724  0.4733  0.0739  3 Si 2.39-2.47
Si  0.4383  0.5639  0.7234  3 Si 2.36-2.45
Si  0.9294  0.0672  0.0618  3 Si 2.35-2.43
Si  0.1179  0.2651  0.6522  3 Si 2.36-2.41
Si  0.8277  0.9227  0.8861  3 Si 2.36-2.42
Si  0.0037  0.8682  0.3530  2 Si 2.40-2.46
Si  0.2393  0.7564  0.9636  2 Si 2.36-2.37
Si  0.0078  0.7484  0.8082  4 Si 2.37-2.45
Mg  0.2018  0.6693  0.5331  3 Si 2.64-2.78
Mg  0.6049  0.9974  0.7083  5 Si 2.76-2.82
Mg  0.5444  0.0774  0.0875  6 Si 2.68-2.93
Mg  0.3415  0.2126  0.4901  6 Si 2.78-2.99
Mg  0.7721  0.7027  0.5736  5 Si 2.64-2.90
Mg  0.7450  0.4481  0.3448  4 Si 2.72-2.89, 1 Mg 3.02
Mg  0.0113  0.3496  0.8685  7 Si 2.76-3.09
Mg  0.3535  0.1719  0.8657  5 Si 2.83-3.01, 2 Mg 3.10-3.16
Mg  0.7455  0.0430  0.4123  4 Si 2.72-2.83, 1 Mg 3.02
Mg  0.9896  0.4946  0.1029  5 Si 2.67-2.96

Calculated total energy (eV per cell): -110.7
Symmetry: P1
Corrected total energy (MP2020 scheme) (eV per atom): -3.907
Calculated formation energy (meV per atom): 152

Entry 4:
Below is a relaxed structure of Cu3Te2Br2O6, with properties calculated at the GGA-PBE level.

a b c (Å): 5.7341 5.7341 8.3672
angles (deg): 77.82 77.82 66.80
With the nearest neighbours (Å) after each atom.
Positions (direct):
O  0.7763  0.3880  0.6305  2 Cu 1.93-1.94, 1 Te 1.96
O  0.6120  0.2237  0.3695  2 Cu 1.93-1.94, 1 Te 1.96
O  0.8615  0.8615  0.6230  1 Te 1.87, 1 Cu 2.07
O  0.2237  0.6120  0.3695  2 Cu 1.93-1.94, 1 Te 1.96
O  0.3880  0.7763  0.6305  2 Cu 1.93-1.94, 1 Te 1.96
O  0.1385  0.1385  0.3770  1 Te 1.87, 1 Cu 2.07
Cu  0.0899  0.0899  0.6328  3 O 1.93-2.07
Cu  0.5000  0.5000  0.5000  4 O 1.94
Cu  0.9101  0.9101  0.3672  3 O 1.93-2.07
Br  0.7947  0.7947  0.1391  1 Cu 2.43
Br  0.2053  0.2053  0.8609  1 Cu 2.43
Te  0.3271  0.3271  0.2439  3 O 1.87-1.96
Te  0.6729  0.6729  0.7561  3 O 1.87-1.96

Calculated total energy (eV per cell): -60.9
Symmetry: C2/m
Corrected total energy (MP2020 scheme) (eV per atom): -5.005
Calculated formation energy (meV per atom): -1040

Entry 5:
Below is a relaxed structure of SbO2, with properties calculated at the GGA-PBE level.

a b c (Å): 6.5040 7.4231 15.6642
angles (deg): 96.04 89.24 113.85
With the nearest neighbours (Å) after each atom.
Positions (direct):
O  0.1712  0.8227  0.9040  2 Sb 2.04-2.06
O  0.3716  0.6564  0.5866  3 Sb 2.06-2.17
O  0.4996  0.4581  0.2371  3 Sb 2.07-2.17
O  0.9941  0.4957  0.2319  3 Sb 2.08-2.17
O  0.6035  0.7554  0.4462  2 Sb 1.99-2.01
O  0.2253  0.0114  0.3835  2 Sb 1.99-2.04
O  0.4886  0.5459  0.7531  2 Sb 1.99-2.04
O  0.3828  0.2435  0.0831  3 Sb 2.11-2.25
O  0.4915  0.9043  0.7580  3 Sb 2.08-2.22
O  0.7439  0.9911  0.6106  2 Sb 2.01-2.02
O  0.8857  0.2107  0.0978  2 Sb 2.01-2.02
O  0.7522  0.5909  0.5911  2 Sb 1.97-2.01
O  0.5696  0.2376  0.9048  2 Sb 1.95-2.01
O  0.8167  0.5819  0.0993  2 Sb 1.96-2.00
O  0.2840  0.4576  0.9177  2 Sb 1.96-1.99
O  0.0415  0.5284  0.7796  2 Sb 1.97-2.02
O  0.1201  0.1493  0.2434  2 Sb 1.95-2.04
O  0.6167  0.8542  0.9097  2 Sb 2.00-2.03
O  0.6535  0.3734  0.4086  2 Sb 2.00-2.01
O  0.5692  0.1295  0.2363  2 Sb 2.00
O  0.2932  0.5983  0.1122  2 Sb 1.96-2.00
O  0.9041  0.8542  0.7617  2 Sb 1.97-2.10
O  0.2482  0.3859  0.4038  3 Sb 2.07-2.15
O  0.3130  0.2576  0.5467  2 Sb 2.00
Sb  0.2696  0.1962  0.9441  2 O 1.95-1.99
Sb  0.6883  0.3358  0.1544  6 O 1.96-2.17
Sb  0.4801  0.9122  0.5275  3 O 2.01-2.06
Sb  0.6509  0.7558  0.6775  6 O 1.97-2.15
Sb  0.5204  0.5024  0.4980  6 O 1.97-2.17
Sb  0.1099  0.7411  0.1631  3 O 2.00-2.08
Sb  0.0546  0.1356  0.4620  3 O 2.00-2.07
Sb  0.3340  0.6654  0.8420  5 O 1.96-2.04
Sb  0.1833  0.3480  0.1638  6 O 1.95-2.17
Sb  0.4035  0.2395  0.3197  6 O 1.99-2.12
Sb  0.8564  0.6480  0.8506  3 O 2.02-2.10
Sb  0.7429  0.0930  0.8454  3 O 2.00-2.08

Calculated total energy (eV per cell): -212.2
Symmetry: P1
Corrected total energy (MP2020 scheme) (eV per atom): -6.352
Calculated formation energy (meV per atom): -1677

Entry 6:
Below is a relaxed structure of NbBi4BrO8, with properties calculated at the GGA-PBE level.

a b c (Å): 5.5804 5.6490 29.7813
angles (deg): 90.00 90.00 90.00
With the nearest neighbours (Å) after each atom.
Positions (direct):
O  0.2469  0.2458  0.1101  3 Bi 2.24-2.38
O  0.2531  0.7458  0.1101  3 Bi 2.24-2.38
O  0.8953  0.9197  0.6870  1 Nb 2.01
O  0.2469  0.7542  0.6101  3 Bi 2.24-2.38
O  0.3953  0.4197  0.8130  1 Nb 2.01
O  0.7513  0.7466  0.6080  3 Bi 2.26-2.32
O  0.7469  0.7458  0.3899  3 Bi 2.24-2.38
O  0.7484  0.3001  0.2669  1 Nb 1.89
O  0.2513  0.7534  0.3920  3 Bi 2.26-2.32
O  0.8953  0.0803  0.1870  1 Nb 2.01
O  0.2513  0.2466  0.8920  3 Bi 2.26-2.32
O  0.6047  0.4197  0.6870  1 Nb 2.01
O  0.2487  0.7466  0.8920  3 Bi 2.26-2.32
O  0.3953  0.5803  0.3130  1 Nb 2.01
O  0.7469  0.2542  0.8899  3 Bi 2.24-2.38
O  0.7484  0.6999  0.7669  1 Nb 1.89
O  0.7531  0.7542  0.8899  3 Bi 2.24-2.38
O  0.6047  0.5803  0.1870  1 Nb 2.01
O  0.7516  0.8001  0.2669  1 Nb 1.89
O  0.7516  0.1999  0.7669  1 Nb 1.89
O  0.7513  0.2534  0.1080  3 Bi 2.26-2.32
O  0.7487  0.7534  0.1080  3 Bi 2.26-2.32
O  0.7531  0.2458  0.3899  3 Bi 2.24-2.38
O  0.1047  0.0803  0.3130  1 Nb 2.01
O  0.2516  0.6999  0.7331  1 Nb 1.89
O  0.7487  0.2466  0.6080  3 Bi 2.26-2.32
O  0.2487  0.2534  0.3920  3 Bi 2.26-2.32
O  0.2531  0.2542  0.6101  3 Bi 2.24-2.38
O  0.1047  0.9197  0.8130  1 Nb 2.01
O  0.2484  0.1999  0.7331  1 Nb 1.89
O  0.2484  0.8001  0.2331  1 Nb 1.89
O  0.2516  0.3001  0.2331  1 Nb 1.89
Bi  0.4788  0.0539  0.8408  4 O 2.26-2.38
Bi  0.9788  0.4461  0.1592  4 O 2.26-2.38
Bi  0.5212  0.9461  0.1592  4 O 2.26-2.38
Bi  0.0121  0.0066  0.5725  4 O 2.24-2.32
Bi  0.0212  0.5539  0.8408  4 O 2.26-2.38
Bi  0.4879  0.5066  0.5725  4 O 2.24-2.32
Bi  0.4879  0.4934  0.0725  4 O 2.24-2.32
Bi  0.0212  0.4461  0.3408  4 O 2.26-2.38
Bi  0.9788  0.5539  0.6592  4 O 2.26-2.38
Bi  0.9879  0.0066  0.9275  4 O 2.24-2.32
Bi  0.5121  0.4934  0.4275  4 O 2.24-2.32
Bi  0.5212  0.0539  0.6592  4 O 2.26-2.38
Bi  0.4788  0.9461  0.3408  4 O 2.26-2.38
Bi  0.9879  0.9934  0.4275  4 O 2.24-2.32
Bi  0.5121  0.5066  0.9275  4 O 2.24-2.32
Bi  0.0121  0.9934  0.0725  4 O 2.24-2.32
Nb  0.5000  0.5081  0.2500  4 O 1.89-2.01
Nb  0.5000  0.4919  0.7500  4 O 1.89-2.01
Nb  0.0000  0.0081  0.2500  4 O 1.89-2.01
Nb  0.0000  0.9919  0.7500  4 O 1.89-2.01
Br  0.0000  0.5000  0.0000  8 Bi 3.48-3.59, 8 O 3.77-3.83
Br  0.5000  0.0000  0.0000  8 Bi 3.48-3.59, 8 O 3.77-3.83
Br  0.5000  0.0000  0.5000  8 Bi 3.48-3.59, 8 O 3.77-3.83
Br  0.0000  0.5000  0.5000  8 Bi 3.48-3.59, 8 O 3.77-3.83

Calculated total energy (eV per cell): -356.5
Symmetry: Pbcn
Corrected total energy (MP2020 scheme) (eV per atom): -6.758
Calculated formation energy (meV per atom): -1981

Entry 7:
Below is a relaxed structure of AlV12Si3, with properties calculated at the GGA-PBE level.

a b c (Å): 4.7235 4.7302 9.4691
angles (deg): 90.00 90.00 90.00
With the nearest neighbours (Å) after each atom.
Positions (direct):
Si  0.5000  0.5000  0.5000  12 V 2.61-2.65
Si  0.0000  0.0000  0.2509  12 V 2.63
Si  0.0000  0.0000  0.7491  12 V 2.63
V  0.2485  0.0000  0.5000  2 V 2.35-2.38
V  0.5000  0.7543  0.2549  2 V 2.32-2.41
V  0.0000  0.5000  0.8713  2 V 2.32-2.44
V  0.0000  0.5000  0.6264  2 V 2.32-2.39
V  0.5000  0.2457  0.2549  2 V 2.32-2.41
V  0.5000  0.2457  0.7451  2 V 2.32-2.41
V  0.7597  0.0000  0.0000  2 V 2.27-2.45
V  0.2403  0.0000  0.0000  2 V 2.27-2.45
V  0.7515  0.0000  0.5000  2 V 2.35-2.38
V  0.0000  0.5000  0.3736  2 V 2.32-2.39
V  0.0000  0.5000  0.1287  2 V 2.32-2.44
V  0.5000  0.7543  0.7451  2 V 2.32-2.41
Al  0.5000  0.5000  0.0000  12 V 2.66-2.70

Calculated total energy (eV per cell): -135.1
Symmetry: Pmmm
Corrected total energy (MP2020 scheme) (eV per atom): -8.429
Calculated formation energy (meV per atom): -365

Entry 8:
Below is a relaxed structure of CeRh, with properties calculated at the GGA-PBE level.

a b c (Å): 3.8547 4.0352 5.9805
angles (deg): 90.00 108.80 90.00
With the nearest neighbours (Å) after each atom.
Positions (direct):
Rh  0.5972  0.2500  0.1943  5 Ce 2.83-3.01, 2 Rh 2.99
Rh  0.4028  0.7500  0.8057  5 Ce 2.83-3.01, 2 Rh 2.99
Ce  0.1370  0.7500  0.2740  5 Rh 2.83-3.01
Ce  0.8630  0.2500  0.7260  5 Rh 2.83-3.01

Calculated total energy (eV per cell): -29.7
Symmetry: Cmcm
Calculated formation energy (meV per atom): -773

Number 1: calculated volume 17.90 A^3/atom. Number 2: calculated volume 24.41 A^3/atom. Number 3: calculated volume 19.41 A^3/atom. Number 4: calculated volume 18.82 A^3/atom. Number 5: calculated volume 19.10 A^3/atom. Number 6: calculated volume 16.76 A^3/atom. Number 7: calculated volume 13.22 A^3/atom. Number 8: calculated volume 22.02 A^3/atom.